[1]
First-principles (PBE+U) data for Li5Mn2CoO8 after structural relaxation, as listed in the Materials Project database.

Cell: 3.013 3.013 20.048 Å, 96.39 96.39 57.10°
Sites, in units of the cell vectors:
Li 0.000 0.000 0.000
Li 0.013 0.013 0.499
Li 0.261 0.261 0.877
Li 0.506 0.506 0.247
Li 0.530 0.530 0.760
Mn 0.259 0.259 0.375
Mn 0.766 0.766 0.625
Co 0.764 0.764 0.127
O 0.134 0.134 0.184
O 0.145 0.145 0.678
O 0.376 0.376 0.568
O 0.400 0.400 0.074
O 0.640 0.640 0.942
O 0.658 0.658 0.434
O 0.866 0.866 0.318
O 0.886 0.886 0.813

The value obtained for the energy above the most stable polymorph in this dataset is 212.2 meV/atom. The calculation puts the formation energy from the elements at -1.822 eV per atom. The total energy comes out at -5.828 eV per atom. The space group is Cm.

---

[2]
First-principles (PBE+U) data for Li7Mn2Co3O12 after structural relaxation, as listed in the Materials Project database.

Cell: 10.625 10.625 5.175 Å, 97.41 97.41 47.31°
Sites, in units of the cell vectors:
Li 0.036 0.705 0.142
Li 0.125 0.125 0.385
Li 0.201 0.544 0.628
Li 0.295 0.964 0.858
Li 0.376 0.374 0.115
Li 0.413 0.085 0.253
Li 0.456 0.799 0.372
Li 0.538 0.204 0.637
Li 0.626 0.624 0.885
Li 0.703 0.043 0.129
Li 0.796 0.462 0.363
Li 0.875 0.875 0.615
Li 0.915 0.587 0.747
Li 0.957 0.297 0.871
Mn 0.336 0.664 0.000
Mn 0.495 0.505 0.500
Mn 0.835 0.165 0.500
Mn 0.997 0.003 0.000
Co 0.081 0.420 0.245
Co 0.166 0.834 0.500
Co 0.239 0.260 0.749
Co 0.580 0.919 0.755
Co 0.667 0.333 0.000
Co 0.740 0.761 0.251
O 0.037 0.347 0.568
O 0.060 0.057 0.668
O 0.113 0.780 0.801
O 0.154 0.462 0.935
O 0.180 0.215 0.042
O 0.220 0.887 0.199
O 0.271 0.610 0.333
O 0.283 0.321 0.453
O 0.357 0.033 0.590
O 0.390 0.729 0.667
O 0.443 0.438 0.833
O 0.469 0.139 0.906
O 0.538 0.846 0.065
O 0.562 0.557 0.167
O 0.612 0.281 0.301
O 0.653 0.963 0.432
O 0.679 0.717 0.547
O 0.719 0.388 0.699
O 0.772 0.109 0.832
O 0.785 0.820 0.958
O 0.861 0.531 0.094
O 0.891 0.228 0.168
O 0.943 0.940 0.332
O 0.967 0.643 0.410

The value obtained for the energy above the most stable polymorph in this dataset is 75.3 meV/atom. The calculation puts the formation energy from the elements at -1.858 eV per atom. The total energy comes out at -5.854 eV per atom. The space group is C2.

---

[3]
First-principles (PBE+U) data for Li7Mn4CoO12 after structural relaxation, as listed in the Materials Project database.

Cell: 7.966 7.966 9.771 Å, 98.16 98.16 20.80°
Sites, in units of the cell vectors:
Li 0.000 0.000 0.000
Li 0.081 0.081 0.754
Li 0.249 0.249 0.250
Li 0.421 0.421 0.757
Li 0.579 0.579 0.243
Li 0.751 0.751 0.750
Li 0.919 0.919 0.246
Mn 0.165 0.165 0.497
Mn 0.338 0.338 0.004
Mn 0.662 0.662 0.996
Mn 0.835 0.835 0.503
Co 0.500 0.500 0.500
O 0.033 0.033 0.384
O 0.131 0.131 0.113
O 0.212 0.212 0.894
O 0.300 0.300 0.619
O 0.369 0.369 0.386
O 0.443 0.443 0.114
O 0.557 0.557 0.886
O 0.631 0.631 0.614
O 0.700 0.700 0.381
O 0.788 0.788 0.106
O 0.869 0.869 0.887
O 0.967 0.967 0.616

The value obtained for the energy above the most stable polymorph in this dataset is 42.5 meV/atom. The calculation puts the formation energy from the elements at -2.042 eV per atom. The total energy comes out at -6.206 eV per atom. The space group is C2/m.

---

[4]
First-principles (PBE+U) data for Li7Mn4CoO12 after structural relaxation, as listed in the Materials Project database.

Cell: 10.042 10.042 5.189 Å, 101.39 101.39 117.33°
Sites, in units of the cell vectors:
Li 0.000 0.500 0.500
Li 0.080 0.421 0.999
Li 0.083 0.917 0.000
Li 0.248 0.248 0.007
Li 0.250 0.750 0.000
Li 0.416 0.584 0.000
Li 0.421 0.080 0.999
Li 0.500 0.000 0.500
Li 0.579 0.920 0.001
Li 0.584 0.416 0.000
Li 0.750 0.250 0.000
Li 0.752 0.752 0.993
Li 0.917 0.083 0.000
Li 0.920 0.579 0.001
Mn 0.167 0.336 0.495
Mn 0.167 0.833 0.500
Mn 0.333 0.667 0.500
Mn 0.336 0.167 0.495
Mn 0.664 0.833 0.505
Mn 0.667 0.333 0.500
Mn 0.833 0.167 0.500
Mn 0.833 0.664 0.505
Co 0.000 0.000 0.500
Co 0.500 0.500 0.500
O 0.029 0.194 0.732
O 0.045 0.718 0.714
O 0.136 0.136 0.271
O 0.140 0.640 0.265
O 0.194 0.029 0.732
O 0.216 0.543 0.712
O 0.282 0.955 0.286
O 0.305 0.473 0.262
O 0.360 0.860 0.735
O 0.377 0.377 0.708
O 0.457 0.784 0.288
O 0.473 0.305 0.262
O 0.527 0.695 0.738
O 0.543 0.216 0.712
O 0.623 0.623 0.292
O 0.640 0.140 0.265
O 0.695 0.527 0.738
O 0.718 0.045 0.714
O 0.784 0.457 0.288
O 0.806 0.971 0.268
O 0.860 0.360 0.735
O 0.864 0.864 0.729
O 0.955 0.282 0.286
O 0.971 0.806 0.268

The value obtained for the energy above the most stable polymorph in this dataset is 16.4 meV/atom. The calculation puts the formation energy from the elements at -2.068 eV per atom. The total energy comes out at -6.232 eV per atom. The space group is C2/m.

---

[5]
First-principles (PBE+U) data for Li7Mn2Co3O12 after structural relaxation, as listed in the Materials Project database.

Cell: 7.732 7.732 10.259 Å, 108.20 108.20 21.74°
Sites, in units of the cell vectors:
Li 0.000 0.000 0.000
Li 0.001 0.001 0.508
Li 0.165 0.165 0.754
Li 0.327 0.327 0.994
Li 0.330 0.330 0.503
Li 0.661 0.661 0.985
Li 0.662 0.662 0.511
Mn 0.827 0.827 0.753
Mn 0.830 0.830 0.251
Co 0.156 0.156 0.252
Co 0.501 0.501 0.249
Co 0.505 0.505 0.744
O 0.071 0.071 0.864
O 0.083 0.083 0.372
O 0.256 0.256 0.143
O 0.257 0.257 0.640
O 0.403 0.403 0.362
O 0.406 0.406 0.858
O 0.571 0.571 0.629
O 0.586 0.586 0.127
O 0.747 0.747 0.360
O 0.754 0.754 0.868
O 0.913 0.913 0.142
O 0.915 0.915 0.642

The value obtained for the energy above the most stable polymorph in this dataset is 91.1 meV/atom. The calculation puts the formation energy from the elements at -1.842 eV per atom. The total energy comes out at -5.838 eV per atom. The space group is Cm.

---

[6]
First-principles (PBE+U) data for Li7Mn4CoO12 after structural relaxation, as listed in the Materials Project database.

Cell: 2.971 11.269 13.646 Å, 74.32 87.06 83.17°
Sites, in units of the cell vectors:
Li 0.105 0.444 0.297
Li 0.135 0.127 0.627
Li 0.138 0.794 0.951
Li 0.251 0.750 0.750
Li 0.369 0.373 0.874
Li 0.369 0.707 0.549
Li 0.387 0.057 0.203
Li 0.613 0.943 0.797
Li 0.631 0.293 0.451
Li 0.631 0.627 0.126
Li 0.749 0.250 0.250
Li 0.862 0.206 0.049
Li 0.865 0.873 0.373
Li 0.895 0.556 0.703
Mn 0.000 0.163 0.835
Mn 0.000 0.837 0.165
Mn 0.238 0.090 0.414
Mn 0.260 0.410 0.087
Mn 0.484 0.665 0.333
Mn 0.516 0.335 0.667
Mn 0.740 0.590 0.913
Mn 0.762 0.910 0.586
Co 0.000 0.500 0.500
Co 0.500 0.000 0.000
O 0.089 0.655 0.225
O 0.092 0.985 0.897
O 0.110 0.323 0.563
O 0.179 0.257 0.361
O 0.208 0.595 0.011
O 0.228 0.937 0.671
O 0.273 0.563 0.829
O 0.292 0.905 0.489
O 0.317 0.243 0.140
O 0.398 0.846 0.273
O 0.404 0.174 0.939
O 0.456 0.514 0.604
O 0.544 0.486 0.396
O 0.596 0.826 0.061
O 0.602 0.154 0.727
O 0.683 0.757 0.860
O 0.708 0.095 0.511
O 0.727 0.437 0.171
O 0.772 0.063 0.329
O 0.792 0.405 0.989
O 0.821 0.743 0.639
O 0.890 0.677 0.437
O 0.908 0.015 0.103
O 0.911 0.345 0.775

The value obtained for the energy above the most stable polymorph in this dataset is 43.3 meV/atom. The calculation puts the formation energy from the elements at -2.041 eV per atom. The total energy comes out at -6.205 eV per atom. The space group is P-1.

---

[7]
First-principles (PBE+U) data for Li7Mn2Co3O12 after structural relaxation, as listed in the Materials Project database.

Cell: 2.995 2.995 29.776 Å, 92.32 92.32 56.89°
Sites, in units of the cell vectors:
Li 0.000 0.000 0.000
Li 0.001 0.001 0.249
Li 0.006 0.006 0.497
Li 0.332 0.332 0.836
Li 0.344 0.344 0.332
Li 0.656 0.656 0.166
Li 0.668 0.668 0.666
Mn 0.001 0.001 0.750
Mn 0.337 0.337 0.582
Co 0.333 0.333 0.081
Co 0.666 0.666 0.917
Co 0.672 0.672 0.417
O 0.009 0.009 0.117
O 0.021 0.021 0.880
O 0.314 0.314 0.953
O 0.336 0.336 0.206
O 0.338 0.338 0.456
O 0.361 0.361 0.712
O 0.642 0.642 0.789
O 0.665 0.665 0.042
O 0.667 0.667 0.292
O 0.692 0.692 0.545
O 0.978 0.978 0.621
O 0.995 0.995 0.381

The value obtained for the energy above the most stable polymorph in this dataset is 166.4 meV/atom. The calculation puts the formation energy from the elements at -1.767 eV per atom. The total energy comes out at -5.763 eV per atom. The space group is Cm.

---

[8]
First-principles (PBE+U) data for Li4MnCo2O7 after structural relaxation, as listed in the Materials Project database.

Cell: 6.587 6.587 14.511 Å, 110.50 110.50 25.52°
Sites, in units of the cell vectors:
Li 0.000 0.000 0.000
Li 0.000 0.000 0.500
Li 0.140 0.140 0.210
Li 0.294 0.294 0.936
Li 0.428 0.428 0.645
Li 0.572 0.572 0.355
Li 0.706 0.706 0.064
Li 0.860 0.860 0.790
Mn 0.143 0.143 0.716
Mn 0.857 0.857 0.284
Co 0.285 0.285 0.431
Co 0.438 0.438 0.134
Co 0.562 0.562 0.866
Co 0.715 0.715 0.569
O 0.016 0.016 0.754
O 0.140 0.140 0.954
O 0.146 0.146 0.467
O 0.273 0.273 0.674
O 0.295 0.295 0.193
O 0.420 0.420 0.380
O 0.433 0.433 0.888
O 0.567 0.567 0.112
O 0.580 0.580 0.620
O 0.705 0.705 0.807
O 0.727 0.727 0.326
O 0.854 0.854 0.533
O 0.860 0.860 0.046
O 0.984 0.984 0.246

The value obtained for the energy above the most stable polymorph in this dataset is 57.2 meV/atom. The calculation puts the formation energy from the elements at -1.827 eV per atom. The total energy comes out at -5.819 eV per atom. The space group is C2/m.

---

[9]
First-principles (PBE+U) data for Li3MnCoO5 after structural relaxation, as listed in the Materials Project database.

Cell: 5.024 5.135 7.741 Å, 71.10 71.18 80.52°
Sites, in units of the cell vectors:
Li 0.000 0.000 0.000
Li 0.102 0.506 0.293
Li 0.204 0.015 0.586
Li 0.391 0.009 0.197
Li 0.609 0.009 0.794
Li 0.810 0.010 0.384
Mn 0.507 0.512 0.487
Mn 0.906 0.510 0.689
Co 0.303 0.517 0.905
Co 0.711 0.499 0.101
O 0.045 0.271 0.131
O 0.160 0.734 0.461
O 0.248 0.294 0.729
O 0.365 0.739 0.032
O 0.466 0.281 0.349
O 0.570 0.730 0.639
O 0.665 0.281 0.926
O 0.726 0.742 0.256
O 0.834 0.289 0.549
O 0.952 0.733 0.839

The value obtained for the energy above the most stable polymorph in this dataset is 20.7 meV/atom. The calculation puts the formation energy from the elements at -1.939 eV per atom. The total energy comes out at -5.939 eV per atom. The space group is P1.

---

[10]
First-principles (PBE+U) data for Li7Mn2Co3O12 after structural relaxation, as listed in the Materials Project database.

Cell: 7.734 7.734 10.213 Å, 108.09 108.09 21.76°
Sites, in units of the cell vectors:
Li 0.000 0.000 0.000
Li 0.002 0.002 0.509
Li 0.330 0.330 0.516
Li 0.337 0.337 0.998
Li 0.663 0.663 0.002
Li 0.668 0.668 0.508
Li 0.833 0.833 0.751
Mn 0.170 0.170 0.754
Mn 0.834 0.834 0.254
Co 0.164 0.164 0.259
Co 0.493 0.493 0.760
Co 0.507 0.507 0.252
O 0.076 0.076 0.377
O 0.083 0.083 0.866
O 0.241 0.241 0.637
O 0.261 0.261 0.143
O 0.408 0.408 0.362
O 0.425 0.425 0.873
O 0.582 0.582 0.135
O 0.589 0.589 0.650
O 0.739 0.739 0.866
O 0.753 0.753 0.367
O 0.916 0.916 0.143
O 0.926 0.926 0.638

The value obtained for the energy above the most stable polymorph in this dataset is 74.0 meV/atom. The calculation puts the formation energy from the elements at -1.859 eV per atom. The total energy comes out at -5.855 eV per atom. The space group is Cm.

---

[11]
First-principles (PBE+U) data for Li7Mn2Co3O12 after structural relaxation, as listed in the Materials Project database.

Cell: 2.965 7.806 10.157 Å, 110.68 91.17 98.27°
Sites, in units of the cell vectors:
Li 0.000 0.000 0.000
Li 0.006 0.005 0.516
Li 0.329 0.669 0.345
Li 0.341 0.679 0.842
Li 0.480 0.996 0.767
Li 0.649 0.334 0.685
Li 0.658 0.331 0.173
Mn 0.833 0.664 0.092
Mn 0.837 0.680 0.603
Co 0.144 0.320 0.919
Co 0.169 0.334 0.425
Co 0.502 0.001 0.257
O 0.070 0.163 0.226
O 0.090 0.191 0.738
O 0.212 0.492 0.120
O 0.275 0.521 0.627
O 0.392 0.816 0.557
O 0.459 0.838 0.061
O 0.546 0.183 0.966
O 0.570 0.173 0.462
O 0.758 0.497 0.398
O 0.772 0.498 0.896
O 0.904 0.823 0.789
O 0.923 0.833 0.292

The value obtained for the energy above the most stable polymorph in this dataset is 75.4 meV/atom. The calculation puts the formation energy from the elements at -1.858 eV per atom. The total energy comes out at -5.854 eV per atom. The space group is P1.